Entry 1:
Entry from the Materials Project: an optimized crystal structure of EuBr3 (PBE).

Lattice parameters (Å, degrees): 4.1788 13.4806 9.1013 90.00 90.00 90.00
Closest atoms and distances in Å follow each position.
Space group Cmcm (No. 63)
Inequivalent atoms, fractional coordinates:
Eu 0.0000 0.2445 0.2500 [4 per cell]  8 Br 2.94-3.17
Br 0.0000 0.1453 0.5656 [8 per cell]  3 Eu 3.06-3.17, 1 Br 3.36
Br 0.0000 0.4090 0.7500 [4 per cell]  2 Eu 2.94

Output
Formation energy in kJ per mole of atoms: -189.6
V in Å³ per atom: 32.0

Entry 2:
Entry from the Materials Project: an optimized crystal structure of Na3SiH11O9 (PBE).

Lattice parameters (Å, degrees): 10.9824 13.0136 11.8977 90.00 90.00 90.00
Closest atoms and distances in Å follow each position.
Space group Pbca (No. 61)
Inequivalent atoms, fractional coordinates:
Na 0.1066 0.0826 0.1828 [8 per cell]  3 O 2.30-2.41, 1 H 2.56
Na 0.1210 0.6876 0.1574 [8 per cell]  4 O 2.38-2.55, 1 H 2.58
Na 0.1367 0.6301 0.8268 [8 per cell]  6 O 2.41-2.62, 3 H 2.41-2.67
Si 0.1223 0.1291 0.4756 [8 per cell]  4 O 1.64-1.69
H 0.0035 0.0013 0.6063 [8 per cell]  1 O 1.04
H 0.0041 0.6480 0.6032 [8 per cell]  1 O 0.99
H 0.0087 0.7232 0.4228 [8 per cell]  1 O 0.99
H 0.1316 0.6563 0.4075 [8 per cell]  1 O 1.03
H 0.1363 0.6028 0.5717 [8 per cell]  1 O 1.02
H 0.1468 0.1885 0.6896 [8 per cell]  1 O 1.00
H 0.1500 0.0265 0.7163 [8 per cell]  1 O 0.99
H 0.1567 0.2434 0.8111 [8 per cell]  1 O 1.01
H 0.1898 0.1630 0.9839 [8 per cell]  1 O 1.02
H 0.1980 0.5366 0.3294 [8 per cell]  1 O 0.99
H 0.2390 0.0418 0.9936 [8 per cell]  1 O 1.00
O 0.0428 0.0660 0.3754 [8 per cell]  1 H 1.04
O 0.0620 0.6919 0.3648 [8 per cell]  2 H 0.99-1.03
O 0.0677 0.1042 0.6007 [8 per cell]  1 H 1.51, 1 Si 1.64
O 0.0738 0.6083 0.6344 [8 per cell]  2 H 0.99-1.02
O 0.0990 0.2505 0.4411 [8 per cell]  2 H 1.59-1.67, 1 Si 1.65
O 0.1958 0.2392 0.7343 [8 per cell]  2 H 1.00-1.01
O 0.2167 0.5129 0.2522 [8 per cell]  2 H 0.99
O 0.2337 0.5921 0.4656 [8 per cell]  2 H 1.56-1.66, 1 Si 1.66
O 0.2442 0.6150 0.0138 [8 per cell]  2 H 1.00-1.02

Output
Formation energy in kJ per mole of atoms: -160.7
V in Å³ per atom: 8.9

Entry 3:
Entry from the Materials Project: an optimized crystal structure of Sm6MgGe2S14 (PBE).

Lattice parameters (Å, degrees): 10.0972 10.0972 5.8079 90.00 90.00 120.00
Closest atoms and distances in Å follow each position.
Space group P3 (No. 143)
Inequivalent atoms, fractional coordinates:
Sm 0.0234 0.4661 0.0000 [3 per cell]  7 S 2.79-3.05
Sm 0.3073 0.2000 0.4972 [3 per cell]  7 S 2.82-3.06
Mg 0.6667 0.3333 0.7139 [1 per cell]  6 S 2.60-2.61
Ge 0.0000 0.0000 0.0791 [1 per cell]  4 S 2.20-2.25
Ge 0.3333 0.6667 0.5825 [1 per cell]  4 S 2.20-2.25
S 0.0000 0.0000 0.7009 [1 per cell]  1 Ge 2.20
S 0.0852 0.2325 0.2354 [3 per cell]  1 Ge 2.25
S 0.1870 0.7527 0.7393 [3 per cell]  1 Ge 2.25
S 0.3333 0.6667 0.2036 [1 per cell]  1 Ge 2.20
S 0.4175 0.2385 0.9573 [3 per cell]  1 Mg 2.61, 3 Sm 2.79-2.85
S 0.5094 0.0828 0.4786 [3 per cell]  1 Mg 2.60, 2 Sm 2.82-2.83

Output
Formation energy in kJ per mole of atoms: -182.0
V in Å³ per atom: 22.3